No. 1
Cs2BeO2: optimized geometry, PBE.

Cell: 4.454 4.454 12.837 Å, 90.00 90.00 90.00°
Space group I4/mmm (No. 139)
Asymmetric unit:
Cs  0.000  0.000  0.154
Be  0.000  0.000  0.500
O  0.000  0.000  0.388

Values from the calculation:
The value obtained for the energy relative to the elements is -1.97 eV per atom. The calculation puts the MP2020-corrected energy at -5.06 eV/atom. The calculated density is 4.0 Mg/m³. The value obtained for the total magnetization is 0.0 μB/cell.



No. 2
InSb2S4Cl: optimized geometry, PBE.

Cell: 20.236 3.892 11.828 Å, 90.00 118.66 90.00°
Space group C2/m (No. 12)
Asymmetric unit:
In  0.164  0.000  0.439
Sb  0.049  0.500  0.779
Sb  0.203  0.000  0.094
S  0.036  0.000  0.221
S  0.099  0.500  0.019
S  0.182  0.000  0.867
S  0.213  0.500  0.349
Cl  0.105  0.500  0.525

Values from the calculation:
The value obtained for the energy relative to the elements is -0.79 eV per atom. The calculation puts the MP2020-corrected energy at -4.46 eV/atom. The calculated density is 4.2 Mg/m³. The value obtained for the total magnetization is 0.0 μB/cell.



No. 3
Li3CrN2: optimized geometry, PBE.

Cell: 9.532 9.532 9.532 Å, 90.00 90.00 90.00°
Space group Ia-3 (No. 206)
Asymmetric unit:
Li  0.098  0.140  0.877
Cr  0.136  0.136  0.136
N  0.000  0.250  0.034
N  0.250  0.250  0.250

Values from the calculation:
The value obtained for the energy relative to the elements is -0.61 eV per atom. The calculation puts the MP2020-corrected energy at -5.95 eV/atom. The calculated density is 3.1 Mg/m³. The value obtained for the total magnetization is 20.1 μB/cell.



No. 4
Te4Mo3WSe2S2: optimized geometry, PBE.

Cell: 3.3961 3.3961 38.7439 Å, 90.00 90.00 120.00°
Space group P3m1 (No. 156)
Asymmetric unit:
Te  0.0000  0.0000  0.0000
Te  0.0000  0.0000  0.0967
Te  0.3333  0.6667  0.8120
Te  0.3333  0.6667  0.9087
Mo  0.0000  0.0000  0.2362
Mo  0.0000  0.0000  0.8603
Mo  0.3333  0.6667  0.0484
W  0.3333  0.6667  0.4240
Se  0.3333  0.6667  0.1936
Se  0.3333  0.6667  0.2788
S  0.0000  0.0000  0.3851
S  0.0000  0.0000  0.4629

Values from the calculation:
The value obtained for the energy relative to the elements is -0.53 eV per atom. The calculation puts the MP2020-corrected energy at -6.65 eV/atom. The calculated density is 5.2 Mg/m³. The value obtained for the total magnetization is 0.0 μB/cell.



No. 5
K4GeSe4: optimized geometry, PBE.

Cell: 13.477 13.477 13.477 Å, 90.00 90.00 90.00°
Space group P-43n (No. 218)
Asymmetric unit:
K  0.088  0.132  0.649
K  0.150  0.150  0.150
Ge  0.000  0.000  0.000
Ge  0.000  0.500  0.250
Se  0.098  0.387  0.654
Se  0.102  0.102  0.898

Values from the calculation:
The value obtained for the energy relative to the elements is -1.22 eV per atom. The calculation puts the MP2020-corrected energy at -3.78 eV/atom. The calculated density is 3.0 Mg/m³.



No. 6
La4Co2Sn5: optimized geometry, PBE.

Cell: 14.335 4.643 11.158 Å, 90.00 128.20 90.00°
Space group C2/m (No. 12)
Asymmetric unit:
La  0.063  0.000  0.222
La  0.168  0.500  0.784
Co  0.227  0.000  0.641
Sn  0.000  0.000  0.500
Sn  0.127  0.500  0.058
Sn  0.154  0.500  0.478

Values from the calculation:
The value obtained for the energy relative to the elements is -0.62 eV per atom. The calculated density is 7.2 Mg/m³. The value obtained for the total magnetization is 3.3 μB/cell.



No. 7
LiBC4N4: optimized geometry, PBE.

Cell: 5.551 5.551 5.551 Å, 90.00 90.00 90.00°
Space group P-43m (No. 215)
Asymmetric unit:
Li  0.000  0.000  0.000
B  0.500  0.500  0.500
C  0.335  0.335  0.335
N  0.214  0.214  0.214

Values from the calculation:
The value obtained for the energy relative to the elements is -0.16 eV per atom. The calculation puts the MP2020-corrected energy at -8.05 eV/atom. The calculated density is 1.2 Mg/m³. The value obtained for the total magnetization is 0.0 μB/cell. For the largest piezoelectric modulus, the calculation gives 0.02 C/m2.



No. 8
SiO2: optimized geometry, PBE.

Cell: 5.283 22.080 11.410 Å, 90.00 90.00 90.00°
Space group Pmmn (No. 59, origin choice 2)
Asymmetric unit:
Si  0.250  0.042  0.009
Si  0.250  0.078  0.274
Si  0.250  0.117  0.771
Si  0.250  0.250  0.695
Si  0.250  0.563  0.354
Si  0.250  0.622  0.601
Si  0.250  0.750  0.468
O  0.000  0.000  0.000
O  0.000  0.113  0.319
O  0.000  0.250  0.613
O  0.001  0.094  0.700
O  0.250  0.009  0.324
O  0.250  0.079  0.132
O  0.250  0.091  0.903
O  0.250  0.190  0.779
O  0.250  0.572  0.495
O  0.250  0.690  0.550

Values from the calculation:
The value obtained for the energy relative to the elements is -3.26 eV per atom. The calculation puts the MP2020-corrected energy at -8.36 eV/atom. The calculated density is 1.8 Mg/m³.



No. 9
Y4SiS3: optimized geometry, PBE.

Cell: 5.619 5.619 11.270 Å, 90.00 90.00 90.00°
Space group I4/mmm (No. 139)
Asymmetric unit:
Y  0.000  0.000  0.250
Y  0.000  0.500  0.000
Si  0.000  0.000  0.000
S  0.000  0.000  0.500
S  0.000  0.500  0.250

Values from the calculation:
The value obtained for the energy relative to the elements is -1.95 eV per atom. The calculation puts the MP2020-corrected energy at -7.41 eV/atom. The calculated density is 4.5 Mg/m³.



No. 10
CaSi2Ni2: optimized geometry, PBE.

Cell: 3.988 3.988 9.644 Å, 90.00 90.00 90.00°
Space group I4/mmm (No. 139)
Asymmetric unit:
Ca  0.000  0.000  0.000
Si  0.000  0.000  0.370
Ni  0.000  0.500  0.250

Values from the calculation:
The value obtained for the energy relative to the elements is -0.65 eV per atom. The calculated density is 4.6 Mg/m³.



No. 11
MgNb3: optimized geometry, PBE.

Cell: 4.202 4.202 4.202 Å, 90.00 90.00 90.00°
Space group Pm-3m (No. 221)
Asymmetric unit:
Mg  0.000  0.000  0.000
Nb  0.000  0.500  0.500

Values from the calculation:
The value obtained for the energy relative to the elements is 0.26 eV per atom. The calculated density is 6.8 Mg/m³. The value obtained for the total magnetization is 0.0 μB/cell.



Values of energy, in order: -4.782; -4.135; -5.829; -6.562; -3.574; -5.528; -7.901; -7.904; -7.220; -5.528; -7.719, all in eV/atom.